{"formula": "FeNiMo3N", "functional": "PBE", "state": "optimized geometry", "volume_a3_per_atom": 12.27, "density_g_cm3": 9.4, "formation_enthalpy_0k_ev_per_atom": -0.251, "energy_ev_per_cell": -225.07, "lattice_angstrom": [[6.6532, 0.0000, 0.0000], [0.0000, 6.6532, 0.0000], [0.0000, 0.0000, 6.6532]], "species": ["Mo", "Mo", "Mo", "Mo", "Mo", "Mo", "Mo", "Mo", "Mo", "Mo", "Mo", "Mo", "Fe", "Fe", "Fe", "Fe", "Ni", "Ni", "Ni", "Ni", "N", "N", "N", "N"], "frac_coords": [[0.1282, 0.1975, 0.4533], [0.0467, 0.8718, 0.6975], [0.8718, 0.6975, 0.0467], [0.8025, 0.9533, 0.3718], [0.6282, 0.3025, 0.5467], [0.5467, 0.6282, 0.3025], [0.3718, 0.8025, 0.9533], [0.3025, 0.5467, 0.6282], [0.1975, 0.4533, 0.1282], [0.9533, 0.3718, 0.8025], [0.4533, 0.1282, 0.1975], [0.6975, 0.0467, 0.8718], [0.1783, 0.8217, 0.3217], [0.3217, 0.1783, 0.8217], [0.8217, 0.3217, 0.1783], [0.6783, 0.6783, 0.6783], [0.9347, 0.5653, 0.4347], [0.0653, 0.0653, 0.0653], [0.4347, 0.9347, 0.5653], [0.5653, 0.4347, 0.9347], [0.6253, 0.8747, 0.1253], [0.8747, 0.1253, 0.6253], [0.1253, 0.6253, 0.8747], [0.3747, 0.3747, 0.3747]]}